This record from Materials Project describes Li7Fe3SbP6O24 after structural relaxation. The functional is GGA+U.

The structure in extended XYZ format:
```
41
Lattice="4.362 2.518 7.392 -4.362 2.518 7.392 0.000 -5.037 7.392" Properties=species:S:1:pos:R:3 pbc="T T T"
Li 0.000 0.000 0.000
Li -2.783 0.123 8.350
Li -1.287 -1.520 12.109
Li 1.285 -2.471 8.350
Li -0.672 1.875 12.109
Li 1.498 2.348 8.350
Li 1.960 -0.355 12.109
Fe 0.000 0.000 3.035
Fe 0.000 0.000 7.514
Fe 0.000 0.000 14.468
Sb 0.000 0.000 18.561
P -1.606 -2.568 9.098
P -3.142 0.315 12.727
P -1.421 2.675 9.098
P 1.298 -2.879 12.727
P 3.027 -0.107 9.098
P 1.844 2.564 12.727
O -2.015 -2.411 10.578
O -3.435 -1.230 12.634
O -0.344 -3.498 8.961
O -1.694 0.493 6.558
O -1.270 -1.134 8.606
O -3.493 1.071 11.442
O -2.857 2.047 8.961
O 0.420 -1.713 6.558
O 0.819 -3.560 11.442
O -1.601 0.392 12.949
O -0.347 1.666 8.606
O -1.428 -1.057 15.651
O 1.274 1.221 6.558
O 0.461 -1.583 12.949
O 1.617 -0.532 8.606
O -1.080 2.951 10.578
O 2.782 -2.360 12.634
O 1.140 1.191 12.949
O 3.096 -0.540 10.578
O -0.201 1.765 15.651
O 1.629 -0.708 15.651
O 3.201 1.451 8.961
O 0.653 3.589 12.634
O 2.673 2.489 11.442
```

Summary:
* ΔE_f: -2466 meV/atom
* total magnetization: 14.0 μB/cell
* symmetry: R3, No. 146

This record from Materials Project describes Na4VS3O13 after structural relaxation. The functional is GGA+U.

The structure in extended XYZ format:
```
168
Lattice="8.747 0.000 0.000 0.000 16.184 0.000 0.000 0.000 15.680" Properties=species:S:1:pos:R:3 pbc="T T T"
Na 1.287 1.411 3.844
Na 1.287 6.682 11.684
Na 1.554 11.609 10.796
Na 1.554 12.668 2.957
Na 1.608 3.552 15.177
Na 1.608 4.540 7.337
Na 1.695 8.871 7.686
Na 1.695 15.405 15.526
Na 2.521 9.368 3.577
Na 2.521 14.908 11.417
Na 2.746 3.502 10.665
Na 2.746 4.590 2.825
Na 2.931 1.135 7.702
Na 2.931 6.957 15.542
Na 3.088 11.670 15.204
Na 3.088 12.607 7.364
Na 5.659 3.577 8.316
Na 5.659 4.515 0.476
Na 5.816 9.227 0.138
Na 5.816 15.049 7.977
Na 6.001 11.594 12.855
Na 6.002 12.682 5.015
Na 6.226 1.276 4.263
Na 6.226 6.816 12.103
Na 7.053 0.779 0.154
Na 7.052 7.313 7.993
Na 7.139 11.644 8.343
Na 7.139 12.632 0.503
Na 7.194 3.517 12.723
Na 7.194 4.576 4.883
Na 7.460 9.503 3.995
Na 7.460 14.774 11.835
V 0.235 9.297 13.498
V 0.236 14.979 5.658
V 4.137 1.276 13.625
V 4.137 6.816 5.785
V 4.610 9.368 9.895
V 4.610 14.908 2.055
V 8.512 1.205 10.022
V 8.512 6.887 2.182
S 0.347 9.914 0.963
S 0.347 14.362 8.803
S 0.537 11.668 5.729
S 0.537 12.608 13.569
S 0.636 1.223 13.157
S 0.637 6.869 5.317
S 3.570 1.642 1.170
S 3.570 6.450 9.010
S 3.831 8.855 13.172
S 3.831 15.422 5.332
S 3.896 3.578 5.345
S 3.896 4.514 13.185
S 4.851 11.670 2.494
S 4.851 12.606 10.334
S 4.916 0.763 10.348
S 4.916 7.330 2.508
S 5.177 9.734 6.670
S 5.177 14.542 14.510
S 8.111 9.315 10.363
S 8.111 14.961 2.523
S 8.210 3.576 2.110
S 8.210 4.516 9.950
S 8.400 1.822 6.877
S 8.400 6.270 14.717
O 0.133 0.601 14.390
O 0.133 7.491 6.550
O 0.290 8.893 11.497
O 0.290 15.383 3.658
O 0.296 8.909 2.105
O 0.296 15.367 9.945
O 0.620 2.694 13.230
O 0.620 5.398 5.390
O 0.728 10.882 4.482
O 0.728 13.394 12.322
O 0.887 3.635 1.741
O 0.887 4.457 9.581
O 0.883 9.183 15.426
O 0.883 15.093 7.586
O 1.004 2.321 7.117
O 1.003 5.771 14.957
O 1.048 11.180 13.259
O 1.048 13.096 5.419
O 1.305 10.961 1.319
O 1.305 13.315 9.159
O 1.325 1.677 9.875
O 1.325 6.415 2.035
O 1.355 11.127 6.834
O 1.355 13.149 14.674
O 2.006 0.690 12.859
O 2.006 7.402 5.019
O 2.369 8.530 13.239
O 2.369 15.746 5.399
O 2.411 1.135 1.886
O 2.411 6.957 9.726
O 2.887 2.814 4.612
O 2.886 5.278 12.452
O 3.090 9.832 9.473
O 3.090 14.445 1.633
O 3.164 1.656 15.364
O 3.164 6.436 7.524
O 3.497 11.425 3.017
O 3.497 12.851 10.857
O 3.541 3.041 12.895
O 3.541 5.051 5.055
O 3.819 3.350 6.813
O 3.819 4.742 14.653
O 4.001 2.992 1.528
O 4.000 5.100 9.368
O 4.004 8.785 6.497
O 4.004 15.492 14.337
O 4.090 10.254 13.563
O 4.090 14.022 5.723
O 4.168 8.261 1.626
O 4.168 16.016 9.466
O 4.297 8.583 11.760
O 4.297 15.694 3.920
O 4.450 0.491 11.759
O 4.450 7.602 3.920
O 4.579 0.168 6.214
O 4.579 7.924 14.054
O 4.657 2.162 9.957
O 4.657 5.930 2.117
O 4.744 0.693 1.343
O 4.743 7.399 9.183
O 4.747 11.084 6.312
O 4.747 13.192 14.152
O 4.928 11.442 1.027
O 4.928 12.834 8.867
O 5.206 11.133 10.624
O 5.206 13.143 2.784
O 5.250 3.333 4.823
O 5.250 4.759 12.663
O 5.583 9.748 8.155
O 5.583 14.528 0.315
O 5.657 1.739 14.047
O 5.658 6.353 6.207
O 5.861 10.906 3.228
O 5.861 13.370 11.068
O 6.336 9.227 5.953
O 6.336 15.049 13.793
O 6.378 0.438 10.281
O 6.378 7.654 2.441
O 6.741 8.782 10.660
O 6.741 15.494 2.821
O 7.392 3.035 1.006
O 7.392 5.057 8.846
O 7.422 9.769 13.645
O 7.422 14.507 5.805
O 7.442 2.869 6.521
O 7.442 5.223 14.361
O 7.699 3.088 10.261
O 7.699 5.004 2.421
O 7.744 10.413 0.723
O 7.744 13.863 8.563
O 7.865 1.091 8.094
O 7.865 7.001 0.254
O 7.861 11.727 6.098
O 7.860 12.550 13.938
O 8.019 2.790 3.358
O 8.019 5.302 11.198
O 8.127 10.786 10.290
O 8.127 13.490 2.450
O 8.452 0.817 5.735
O 8.452 7.275 13.575
O 8.457 0.801 12.022
O 8.458 7.291 4.182
O 8.614 8.694 9.130
O 8.614 15.583 1.290
```

Summary:
* ΔE_f: -2179 meV/atom
* total magnetization: 8.0 μB/cell
* symmetry: P2_1/c, No. 14

This record from Materials Project describes Co2As2O7 after structural relaxation. The functional is GGA+U.

The structure in extended XYZ format:
```
22
Lattice="-0.847 5.161 -1.514 -0.059 0.047 5.459 9.651 -0.071 -1.115" Properties=species:S:1:pos:R:3 pbc="T T T"
Co 6.636 3.539 -0.191
Co 2.104 1.597 3.030
Co 1.811 3.574 0.366
Co 6.928 1.563 2.473
As -0.206 3.947 2.956
As 4.619 3.912 2.398
As 4.127 1.211 0.422
As 8.954 1.176 -0.135
O -0.029 0.064 5.450
O 4.797 0.029 4.892
O 3.184 3.074 1.935
O 8.010 3.039 1.377
O 0.714 2.110 1.472
O 5.540 2.074 0.915
O 0.596 4.807 1.702
O 5.421 4.771 1.144
O 0.837 3.097 4.015
O 5.663 3.062 3.457
O 3.079 2.069 -0.625
O 7.905 2.033 -1.183
O 3.325 0.356 1.675
O 8.151 0.320 1.118
```

Summary:
* ΔE_f: -1566 meV/atom
* total magnetization: 0.0 μB/cell

This record from Materials Project describes Li3Co3SbO8 after structural relaxation. The functional is GGA+U.

The structure in extended XYZ format:
```
30
Lattice="6.033 0.000 0.000 3.016 5.232 0.000 3.009 -1.684 9.938" Properties=species:S:1:pos:R:3 pbc="T T T"
Li 1.507 0.836 2.539
Li 6.003 3.535 2.471
Li 7.519 2.662 7.475
Li 4.539 0.887 2.463
Li 6.055 0.014 7.467
Li 10.551 2.712 7.399
Co 0.000 0.000 0.000
Co 1.504 -0.842 4.969
Co 1.508 2.616 0.000
Co 3.013 1.774 4.969
Co 4.521 -0.842 4.969
Co 4.525 2.616 0.000
Sb 3.016 0.000 0.000
Sb 6.029 1.774 4.969
O 3.099 0.104 3.908
O 4.587 4.538 1.193
O 6.150 1.844 8.937
O 4.588 2.594 3.858
O 4.594 -0.878 8.809
O 4.584 0.946 6.103
O 6.066 3.439 6.081
O 3.136 1.732 1.036
O 8.923 1.817 8.901
O 5.992 0.109 3.857
O 7.474 2.603 3.835
O 7.464 4.426 1.129
O 7.470 0.954 6.080
O 5.908 1.705 1.001
O 7.471 -0.990 8.745
O 8.959 3.444 6.030
```

Summary:
* ΔE_f: -1723 meV/atom
* total magnetization: 2.0 μB/cell
* symmetry: P-1, No. 2

This record from Materials Project describes MgV2Fe4O8 after structural relaxation. The functional is GGA+U.

The structure in extended XYZ format:
```
15
Lattice="6.092 -3.010 0.000 6.092 3.010 0.000 -2.906 0.000 5.210" Properties=species:S:1:pos:R:3 pbc="T T T"
Mg 0.000 0.000 0.000
V -0.561 0.000 4.629
V 0.778 0.000 2.273
Fe 1.697 1.454 4.327
Fe 4.618 0.000 2.541
Fe 1.697 -1.454 4.327
Fe 8.437 0.000 1.293
O 7.393 1.717 0.708
O 4.196 0.000 0.582
O 2.735 0.000 3.206
O 5.791 1.491 3.206
O 10.318 0.000 0.482
O 5.791 -1.491 3.206
O 8.781 0.000 3.336
O 7.393 -1.717 0.708
```

Summary:
* ΔE_f: -1471 meV/atom
* total magnetization: 22.0 μB/cell
* symmetry: Cm, No. 8

This record from Materials Project describes CaV4Ag2O12 after structural relaxation. The functional is GGA+U.

The structure in extended XYZ format:
```
38
Lattice="10.521 0.000 0.000 0.000 10.521 0.000 0.000 0.000 5.083" Properties=species:S:1:pos:R:3 pbc="T T T"
Ca 2.630 2.630 0.000
Ca 7.890 7.890 0.000
V 0.277 7.890 2.541
V 2.630 5.537 2.541
V 2.630 10.244 2.541
V 4.984 7.890 2.541
V 5.537 2.630 2.541
V 7.890 0.277 2.541
V 7.890 4.984 2.541
V 10.244 2.630 2.541
Ag 0.000 0.000 0.000
Ag 0.000 5.260 0.000
Ag 5.260 0.000 0.000
Ag 5.260 5.260 0.000
O 0.641 1.911 1.313
O 0.641 3.349 3.769
O 1.362 6.622 3.277
O 1.362 9.159 1.806
O 1.911 0.641 3.769
O 1.911 4.619 1.313
O 3.349 0.641 1.313
O 3.349 4.619 3.769
O 3.898 6.622 1.806
O 3.898 9.159 3.277
O 4.619 1.911 3.769
O 4.619 3.349 1.313
O 5.901 7.171 3.769
O 5.901 8.609 1.313
O 6.622 1.362 1.806
O 6.622 3.898 3.277
O 7.171 5.901 1.313
O 7.171 9.880 3.769
O 8.609 5.901 3.769
O 8.609 9.880 1.313
O 9.159 1.362 3.277
O 9.159 3.898 1.806
O 9.880 7.171 1.313
O 9.880 8.609 3.769
```

Summary:
* ΔE_f: -2205 meV/atom
* total magnetization: 0.0 μB/cell
* symmetry: P4/nbm, No. 125

This record from Materials Project describes Nb2Zn2WO8 after structural relaxation. The functional is GGA+U.

The structure in extended XYZ format:
```
26
Lattice="5.390 0.000 0.000 -0.178 5.911 0.000 -0.128 -2.489 9.894" Properties=species:S:1:pos:R:3 pbc="T T T"
Nb 1.045 0.816 2.409
Nb 1.131 -1.803 7.598
Nb 3.953 5.225 2.295
Nb 4.039 2.606 7.485
Zn 1.008 3.970 4.363
Zn 1.368 1.156 5.590
Zn 3.716 2.266 4.304
Zn 4.076 -0.548 5.531
W 1.133 1.300 9.838
W 3.951 2.121 0.055
O 0.244 2.622 6.243
O 0.325 5.075 1.216
O 0.417 2.254 1.135
O 0.663 -0.621 6.050
O 1.792 2.232 3.839
O 1.973 -0.298 8.856
O 1.972 2.632 8.536
O 2.211 -0.496 3.432
O 2.873 3.918 6.462
O 3.112 0.790 1.357
O 3.111 3.720 1.038
O 3.292 1.190 6.054
O 4.421 4.042 3.843
O 4.667 1.168 8.759
O 4.759 -1.653 8.677
O 4.840 0.800 3.650
```

Summary:
* ΔE_f: -2289 meV/atom
* total magnetization: 4.0 μB/cell
* symmetry: P-1, No. 2

This record from Materials Project describes Li2VCrP2O8F2 after structural relaxation. The functional is GGA+U.

The structure in extended XYZ format:
```
48
Lattice="5.215 0.000 0.000 -2.321 6.970 0.000 -0.632 -1.274 14.911" Properties=species:S:1:pos:R:3 pbc="T T T"
Li -0.970 3.001 4.400
Li -0.598 5.872 0.581
Li -0.217 4.885 9.366
Li 2.479 0.811 5.545
Li 2.860 -0.176 14.330
Li 3.232 2.695 10.512
V -0.316 -0.637 7.456
V -0.725 4.744 12.431
V 2.986 0.952 2.480
Cr -1.476 2.848 7.456
Cr 0.436 1.263 12.426
Cr 1.825 4.433 2.485
P 0.276 -0.035 4.263
P 0.482 1.939 0.693
P 1.029 1.876 9.239
P 1.233 3.820 5.672
P 1.780 3.757 14.218
P 1.986 5.731 10.648
O -0.788 0.102 11.368
O -2.262 4.615 13.658
O -1.905 4.887 10.763
O -0.553 0.815 14.113
O 0.676 -0.204 5.757
O -0.311 2.694 9.115
O 0.065 2.962 6.225
O 0.913 0.520 8.514
O 0.603 3.278 1.423
O 1.448 0.825 3.713
O 1.803 1.089 0.820
O 0.844 3.983 4.181
O 1.418 1.713 10.730
O 0.459 4.607 14.091
O 0.814 4.871 11.198
O 1.659 2.418 13.488
O 1.348 5.176 6.397
O 2.197 2.734 8.686
O 2.573 3.002 5.796
O 1.586 5.900 9.154
O 2.815 4.881 0.798
O 4.167 0.809 4.148
O 4.524 1.081 1.253
O 3.050 5.594 3.544
F -1.351 4.789 7.810
F -0.828 2.744 12.071
F 1.699 -0.222 12.778
F 0.563 5.918 2.133
F 3.090 2.952 2.840
F 3.613 0.907 7.101
```

Summary:
* ΔE_f: -2797 meV/atom
* total magnetization: 15.0 μB/cell
* symmetry: P-1, No. 2

Look up the total magnetization of the fifth one.
22.0 μB/cell